The following is a GGA+U calculation of VPHO5 after structural relaxation, from the Materials Project database.

a = 6.8063 Å, b = 7.3765 Å, c = 7.9659 Å
α = 92.09°, β = 90.37°, γ = 62.34°
Last column: nearest neighbours and their distance in Å.
Positions (direct):
V 0.9997 0.4999 0.4999  6 O 1.90-1.98
V 0.5001 0.5000 0.0000  6 O 1.90-1.98
V 0.0001 0.9999 0.0001  6 O 1.91-1.99
V 0.5000 0.0001 0.4999  6 O 1.91-1.99
P 0.2759 0.2294 0.1667  4 O 1.54-1.56
P 0.7758 0.2293 0.6669  4 O 1.54-1.56
P 0.7242 0.7706 0.8332  4 O 1.54-1.56
P 0.2241 0.7706 0.3334  4 O 1.54-1.56
H 0.8459 0.3249 0.1717  1 O 0.99
H 0.3456 0.3251 0.6716  1 O 0.99
H 0.1545 0.6749 0.8283  1 O 0.99
H 0.6542 0.6751 0.3282  1 O 0.99
O 0.7273 0.7265 0.4116  1 H 0.99
O 0.2274 0.7265 0.9116  1 H 0.99
O 0.2726 0.2735 0.5883  1 H 0.99
O 0.7727 0.2735 0.0883  1 H 0.99
O 0.0617 0.3702 0.2709  1 P 1.56
O 0.5618 0.3702 0.7711  1 P 1.56
O 0.9382 0.6298 0.7289  1 P 1.56
O 0.4382 0.6299 0.2292  1 P 1.56
O 0.6680 0.6386 0.9508  1 P 1.55
O 0.1678 0.6385 0.4507  1 P 1.55
O 0.3322 0.3615 0.0494  1 P 1.55
O 0.8320 0.3614 0.5493  1 P 1.55
O 0.2330 0.0750 0.0584  1 P 1.54
O 0.7328 0.0751 0.5585  1 P 1.54
O 0.7672 0.9249 0.9416  1 P 1.54
O 0.2670 0.9251 0.4417  1 P 1.54
O 0.4736 0.1153 0.2850  1 P 1.55
O 0.9737 0.1152 0.7849  1 P 1.55
O 0.5264 0.8848 0.7151  1 P 1.55
O 0.0264 0.8847 0.2150  1 P 1.55

## Properties
volume = 354.0 Å³ per cell
formation energy = -2.366 eV per atom
corrected total energy (MP2020 scheme) = -7.69 eV per atom

***

The following is a GGA+U calculation of VPH11O9 after structural relaxation, from the Materials Project database.

a = 12.2023 Å, b = 12.2023 Å, c = 6.4249 Å
α = 90.00°, β = 90.00°, γ = 90.00°
Last column: nearest neighbours and their distance in Å.
Positions (direct):
V 0.0460 0.6766 0.0000  1 O 1.65
V 0.3234 0.0460 0.2500  1 O 1.65
V 0.6766 0.9540 0.7500  1 O 1.65
V 0.9540 0.3234 0.5000  1 O 1.65
P 0.0736 0.5898 0.4981  4 O 1.52-1.65
P 0.4102 0.0736 0.7481  4 O 1.52-1.65
P 0.5898 0.9264 0.2481  4 O 1.52-1.65
P 0.9264 0.4102 0.9981  4 O 1.52-1.65
H 0.9999 0.0018 0.8021  2 H 1.61
H 0.0001 0.9982 0.3021  2 H 1.61
H 0.0018 0.0001 0.5521  2 H 1.61
H 0.1105 0.1529 0.9066  1 H 0.75
H 0.1360 0.2005 0.3910  1 O 1.01
H 0.1411 0.2042 0.8820  1 H 0.75
H 0.1529 0.8895 0.6566  1 H 0.75
H 0.1607 0.3268 0.3940  1 O 0.98
H 0.2005 0.8640 0.1410  1 O 1.01
H 0.2042 0.8589 0.6320  1 H 0.75
H 0.2077 0.5433 0.8794  1 O 0.99
H 0.2182 0.3624 0.8325  1 H 0.75
H 0.2265 0.5508 0.3466  1 O 0.98
H 0.2695 0.3576 0.8967  1 H 0.75
H 0.3268 0.8393 0.1440  1 O 0.98
H 0.3576 0.7305 0.6467  1 H 0.75
H 0.3624 0.7818 0.5825  1 H 0.75
H 0.3638 0.6022 0.0488  1 O 1.02
H 0.3973 0.5279 0.4335  1 O 0.98
H 0.3978 0.3638 0.2988  1 O 1.02
H 0.4492 0.2265 0.5966  1 O 0.98
H 0.4567 0.2077 0.1294  1 O 0.99
H 0.4721 0.3973 0.6835  1 O 0.98
H 0.5279 0.6027 0.1835  1 O 0.98
H 0.5433 0.7923 0.6294  1 O 0.99
H 0.5508 0.7735 0.0966  1 O 0.98
H 0.6022 0.6362 0.7988  1 O 1.02
H 0.6027 0.4721 0.9335  1 O 0.98
H 0.6362 0.3978 0.5488  1 O 1.02
H 0.6376 0.2182 0.0825  1 H 0.75
H 0.6424 0.2695 0.1467  1 H 0.75
H 0.6732 0.1607 0.6440  1 O 0.98
H 0.7305 0.6424 0.3967  1 H 0.75
H 0.7735 0.4492 0.8466  1 O 0.98
H 0.7818 0.6376 0.3325  1 H 0.75
H 0.7923 0.4567 0.3794  1 O 0.99
H 0.7958 0.1411 0.1320  1 H 0.75
H 0.7995 0.1360 0.6410  1 O 1.01
H 0.8393 0.6732 0.8940  1 O 0.98
H 0.8471 0.1105 0.1566  1 H 0.75
H 0.8589 0.7958 0.3820  1 H 0.75
H 0.8640 0.7995 0.8910  1 O 1.01
H 0.8895 0.8471 0.4066  1 H 0.75
H 0.9982 0.9999 0.0521  2 H 1.61
O 0.0141 0.4800 0.5009  1 P 1.52
O 0.0468 0.6598 0.3093  1 P 1.52
O 0.0607 0.6558 0.6972  1 P 1.52
O 0.1027 0.7991 0.0152  1 H 1.64, 1 V 1.65
O 0.1150 0.2718 0.4618  2 H 0.98-1.01
O 0.2009 0.1027 0.2652  1 H 1.64, 1 V 1.65
O 0.2042 0.5805 0.0157  1 H 0.99
O 0.2053 0.5607 0.4919  1 H 0.98
O 0.2718 0.8850 0.2118  2 H 0.98-1.01
O 0.3008 0.6525 0.0082  1 H 1.02
O 0.3402 0.0468 0.5593  1 P 1.52
O 0.3442 0.0607 0.9472  1 P 1.52
O 0.3475 0.3008 0.2582  1 H 1.02
O 0.4195 0.2042 0.2657  1 H 0.99
O 0.4393 0.2053 0.7419  1 H 0.98
O 0.4498 0.4789 0.3642  1 H 0.98
O 0.4789 0.5502 0.1142  1 H 0.98
O 0.4800 0.9859 0.2509  1 P 1.52
O 0.5200 0.0141 0.7509  1 P 1.52
O 0.5211 0.4498 0.6142  1 H 0.98
O 0.5502 0.5211 0.8642  1 H 0.98
O 0.5607 0.7947 0.2419  1 H 0.98
O 0.5805 0.7958 0.7657  1 H 0.99
O 0.6525 0.6992 0.7582  1 H 1.02
O 0.6558 0.9393 0.4472  1 P 1.52
O 0.6598 0.9532 0.0593  1 P 1.52
O 0.6992 0.3475 0.5082  1 H 1.02
O 0.7282 0.1150 0.7118  2 H 0.98-1.01
O 0.7947 0.4393 0.9919  1 H 0.98
O 0.7958 0.4195 0.5157  1 H 0.99
O 0.7991 0.8973 0.7652  1 H 1.64, 1 V 1.65
O 0.8850 0.7282 0.9618  2 H 0.98-1.01
O 0.8973 0.2009 0.5152  1 H 1.64, 1 V 1.65
O 0.9393 0.3442 0.1972  1 P 1.52
O 0.9532 0.3402 0.8093  1 P 1.52
O 0.9859 0.5200 0.0009  1 P 1.52

## Properties
volume = 956.6 Å³ per cell
formation energy = -1.103 eV per atom
corrected total energy (MP2020 scheme) = -5.48 eV per atom

***

The following is a GGA+U calculation of VPH11O9 after structural relaxation, from the Materials Project database.

a = 12.2023 Å, b = 12.2023 Å, c = 6.4249 Å
α = 90.00°, β = 90.00°, γ = 90.00°
Last column: nearest neighbours and their distance in Å.
Positions (direct):
V 0.0460 0.3234 0.0000  1 O 1.65
V 0.3234 0.9540 0.2500  1 O 1.65
V 0.6766 0.0460 0.7500  1 O 1.65
V 0.9540 0.6766 0.5000  1 O 1.65
P 0.0736 0.4102 0.4981  4 O 1.52-1.65
P 0.4102 0.9264 0.7481  4 O 1.52-1.65
P 0.5898 0.0736 0.2481  4 O 1.52-1.65
P 0.9264 0.5898 0.9981  4 O 1.52-1.65
H 0.0001 0.0018 0.3021  2 H 1.61
H 0.9999 0.9982 0.8021  2 H 1.61
H 0.0018 0.9999 0.5521  2 H 1.61
H 0.1105 0.8471 0.9066  1 H 0.75
H 0.1360 0.7995 0.3910  1 O 1.01
H 0.1411 0.7958 0.8820  1 H 0.75
H 0.1529 0.1105 0.6566  1 H 0.75
H 0.1607 0.6732 0.3940  1 O 0.98
H 0.2005 0.1360 0.1410  1 O 1.01
H 0.2042 0.1411 0.6320  1 H 0.75
H 0.2077 0.4567 0.8794  1 O 0.99
H 0.2182 0.6376 0.8325  1 H 0.75
H 0.2265 0.4492 0.3466  1 O 0.98
H 0.2695 0.6424 0.8967  1 H 0.75
H 0.3268 0.1607 0.1440  1 O 0.98
H 0.3576 0.2695 0.6467  1 H 0.75
H 0.3624 0.2182 0.5825  1 H 0.75
H 0.3638 0.3978 0.0488  1 O 1.02
H 0.3973 0.4721 0.4335  1 O 0.98
H 0.3978 0.6362 0.2988  1 O 1.02
H 0.4492 0.7735 0.5966  1 O 0.98
H 0.4567 0.7923 0.1294  1 O 0.99
H 0.4721 0.6027 0.6835  1 O 0.98
H 0.5279 0.3973 0.1835  1 O 0.98
H 0.5433 0.2077 0.6294  1 O 0.99
H 0.5508 0.2265 0.0966  1 O 0.98
H 0.6022 0.3638 0.7988  1 O 1.02
H 0.6027 0.5279 0.9335  1 O 0.98
H 0.6362 0.6022 0.5488  1 O 1.02
H 0.6376 0.7818 0.0825  1 H 0.75
H 0.6424 0.7305 0.1467  1 H 0.75
H 0.6732 0.8393 0.6440  1 O 0.98
H 0.7305 0.3576 0.3967  1 H 0.75
H 0.7735 0.5508 0.8466  1 O 0.98
H 0.7818 0.3624 0.3325  1 H 0.75
H 0.7923 0.5433 0.3794  1 O 0.99
H 0.7958 0.8589 0.1320  1 H 0.75
H 0.7995 0.8640 0.6410  1 O 1.01
H 0.8393 0.3268 0.8940  1 O 0.98
H 0.8471 0.8895 0.1566  1 H 0.75
H 0.8589 0.2042 0.3820  1 H 0.75
H 0.8640 0.2005 0.8910  1 O 1.01
H 0.8895 0.1529 0.4066  1 H 0.75
H 0.9982 0.0001 0.0521  2 H 1.61
O 0.0141 0.5200 0.5009  1 P 1.52
O 0.0468 0.3402 0.3093  1 P 1.52
O 0.0607 0.3442 0.6972  1 P 1.52
O 0.1027 0.2009 0.0152  1 H 1.64, 1 V 1.65
O 0.1150 0.7282 0.4618  2 H 0.98-1.01
O 0.2009 0.8973 0.2652  1 H 1.64, 1 V 1.65
O 0.2042 0.4195 0.0157  1 H 0.99
O 0.2053 0.4393 0.4919  1 H 0.98
O 0.2718 0.1150 0.2118  2 H 0.98-1.01
O 0.3008 0.3475 0.0082  1 H 1.02
O 0.3402 0.9532 0.5593  1 P 1.52
O 0.3442 0.9393 0.9472  1 P 1.52
O 0.3475 0.6992 0.2582  1 H 1.02
O 0.4195 0.7958 0.2657  1 H 0.99
O 0.4393 0.7947 0.7419  1 H 0.98
O 0.4498 0.5211 0.3642  1 H 0.98
O 0.4789 0.4498 0.1142  1 H 0.98
O 0.4800 0.0141 0.2509  1 P 1.52
O 0.5200 0.9859 0.7509  1 P 1.52
O 0.5211 0.5502 0.6142  1 H 0.98
O 0.5502 0.4789 0.8642  1 H 0.98
O 0.5607 0.2053 0.2419  1 H 0.98
O 0.5805 0.2042 0.7657  1 H 0.99
O 0.6525 0.3008 0.7582  1 H 1.02
O 0.6558 0.0607 0.4472  1 P 1.52
O 0.6598 0.0468 0.0593  1 P 1.52
O 0.6992 0.6525 0.5082  1 H 1.02
O 0.7282 0.8850 0.7118  2 H 0.98-1.01
O 0.7947 0.5607 0.9919  1 H 0.98
O 0.7958 0.5805 0.5157  1 H 0.99
O 0.7991 0.1027 0.7652  1 H 1.64, 1 V 1.65
O 0.8850 0.2718 0.9618  2 H 0.98-1.01
O 0.8973 0.7991 0.5152  1 H 1.64, 1 V 1.65
O 0.9393 0.6558 0.1972  1 P 1.52
O 0.9532 0.6598 0.8093  1 P 1.52
O 0.9859 0.4800 0.0009  1 P 1.52

## Properties
volume = 956.6 Å³ per cell
formation energy = -1.108 eV per atom
corrected total energy (MP2020 scheme) = -5.49 eV per atom

***

The following is a GGA+U calculation of VP2H6O6 after structural relaxation, from the Materials Project database.

a = 7.3409 Å, b = 7.3409 Å, c = 7.6889 Å
α = 116.40°, β = 116.40°, γ = 67.69°
Last column: nearest neighbours and their distance in Å.
Positions (direct):
V 0.2416 0.7584 0.7500  1 O 1.63
V 0.7584 0.2416 0.2500  1 O 1.63
P 0.1087 0.4327 0.2892  2 H 1.41, 2 O 1.53-1.54
P 0.4327 0.1087 0.7892  2 H 1.41, 2 O 1.53-1.54
P 0.5673 0.8913 0.2108  2 H 1.41, 2 O 1.53-1.54
P 0.8913 0.5673 0.7108  2 H 1.41, 2 O 1.53-1.54
H 0.0865 0.8604 0.1292  1 O 0.98
H 0.1396 0.9135 0.3708  1 O 0.98
H 0.1736 0.4554 0.1537  1 P 1.41
H 0.2798 0.2980 0.3859  1 P 1.41
H 0.2980 0.2798 0.8859  1 P 1.41
H 0.4554 0.1736 0.6537  1 P 1.41
H 0.5446 0.8264 0.3463  1 P 1.41
H 0.7020 0.7202 0.1141  1 P 1.41
H 0.7202 0.7020 0.6141  1 P 1.41
H 0.8264 0.5446 0.8463  1 P 1.41
H 0.8604 0.0865 0.6292  1 O 0.98
H 0.9135 0.1396 0.8708  1 O 0.98
O 0.0437 0.9563 0.2500  2 H 0.98
O 0.0626 0.6456 0.4509  1 P 1.53
O 0.0784 0.6715 0.8479  1 P 1.54
O 0.3285 0.9216 0.6521  1 P 1.54
O 0.3544 0.9374 0.0491  1 P 1.53
O 0.4409 0.5591 0.7500  1 V 1.63
O 0.5591 0.4409 0.2500  1 V 1.63
O 0.6456 0.0626 0.9509  1 P 1.53
O 0.6715 0.0784 0.3479  1 P 1.54
O 0.9216 0.3285 0.1521  1 P 1.54
O 0.9374 0.3544 0.5491  1 P 1.53
O 0.9563 0.0437 0.7500  2 H 0.98

## Properties
volume = 323.8 Å³ per cell
formation energy = -1.475 eV per atom
corrected total energy (MP2020 scheme) = -6.14 eV per atom

***

Calculated density for the records above, in order: 3.1 1.6 1.6 2.2 g/cm3
Electronic total energy for the records above, in order: -7.053 -5.125 -5.129 -5.750 eV per atom